[1]
The following is a PBE calculation of a relaxed NaMg14Bi crystal, from Materials Project.

Values from the calculation:
* ΔH_f (0 K): -0.011 eV per atom
* relative energy among the computed polymorphs: 0.00 eV per formula unit
* ρ: 2.509 g cm⁻³
* spin magnetization: 0.0 μB per formula unit

CIF file:
```
data_NaMg14Bi
_cell_length_a 10.549
_cell_length_b 6.374
_cell_length_c 11.263
_cell_angle_alpha 90.00
_cell_angle_beta 90.00
_cell_angle_gamma 90.00
_space_group_name_H-M_alt 'A m m 2'
_space_group_IT_number 38
_space_group_name_Hall 'A 2 -2'
loop_
_atom_site_label
_atom_site_type_symbol
_atom_site_fract_x
_atom_site_fract_y
_atom_site_fract_z
Na1 Na 0.000 0.000 0.000
Mg1 Mg 0.000 0.248 0.249
Mg2 Mg 0.253 0.000 0.669
Mg3 Mg 0.255 0.000 0.168
Mg4 Mg 0.257 0.249 0.915
Mg5 Mg 0.500 0.000 0.000
Mg6 Mg 0.500 0.000 0.500
Mg7 Mg 0.500 0.249 0.750
Bi1 Bi 0.000 0.000 0.498
```

***

[2]
The following is a PBE calculation of a relaxed Na2MgBi2O6 crystal, from Materials Project.

Values from the calculation:
* ΔH_f (0 K): -1.823 eV per atom
* relative energy among the computed polymorphs: 0.00 eV per formula unit
* ρ: 5.988 g cm⁻³
* spin magnetization: 0.0 μB per formula unit

CIF file:
```
data_Na2MgBi2O6
_cell_length_a 5.7066
_cell_length_b 5.7066
_cell_length_c 17.2344
_cell_angle_alpha 90.00
_cell_angle_beta 90.00
_cell_angle_gamma 120.00
_space_group_name_H-M_alt 'R -3'
_space_group_IT_number 148
_space_group_name_Hall '-R 3'
loop_
_atom_site_label
_atom_site_type_symbol
_atom_site_fract_x
_atom_site_fract_y
_atom_site_fract_z
Na1 Na 0.0000 0.0000 0.1681
Mg1 Mg 0.0000 0.0000 0.0000
Bi1 Bi 0.0000 0.0000 0.3523
O1 O 0.0003 0.3696 0.4000
```

***

[3]
The following is a PBE calculation of a relaxed Na4MgBi2O6 crystal, from Materials Project.

Values from the calculation:
* ΔH_f (0 K): -1.804 eV per atom
* relative energy among the computed polymorphs: 0.00 eV per formula unit
* ρ: 5.648 g cm⁻³
* spin magnetization: 0.0 μB per formula unit

CIF file:
```
data_Na4MgBi2O6
_cell_length_a 6.217
_cell_length_b 10.319
_cell_length_c 6.160
_cell_angle_alpha 90.00
_cell_angle_beta 110.33
_cell_angle_gamma 90.00
_space_group_name_H-M_alt 'C 1 m 1'
_space_group_IT_number 8
_space_group_name_Hall 'C -2y'
loop_
_atom_site_label
_atom_site_type_symbol
_atom_site_fract_x
_atom_site_fract_y
_atom_site_fract_z
Na1 Na 0.000 0.000 0.000
Na2 Na 0.074 0.500 0.649
Na3 Na 0.159 0.290 0.041
Mg1 Mg 0.468 0.000 0.184
Bi1 Bi 0.078 0.167 0.543
O1 O 0.298 0.000 0.841
O2 O 0.301 0.500 0.247
O3 O 0.343 0.315 0.763
O4 O 0.379 0.155 0.331
```

***

[4]
The following is a PBE calculation of a relaxed NaMg14BiO16 crystal, from Materials Project.

Values from the calculation:
* ΔH_f (0 K): -2.780 eV per atom
* relative energy among the computed polymorphs: 0.18 eV per formula unit
* ρ: 4.105 g cm⁻³
* spin magnetization: 0.0 μB per formula unit

CIF file:
```
data_NaMg14BiO16
_cell_length_a 4.393
_cell_length_b 8.686
_cell_length_c 8.781
_cell_angle_alpha 90.00
_cell_angle_beta 90.00
_cell_angle_gamma 90.00
_space_group_name_H-M_alt 'P m m m'
_space_group_IT_number 47
_space_group_name_Hall '-P 2 2'
loop_
_atom_site_label
_atom_site_type_symbol
_atom_site_fract_x
_atom_site_fract_y
_atom_site_fract_z
Na1 Na 0.000 0.000 0.000
Mg1 Mg 0.000 0.256 0.238
Mg2 Mg 0.000 0.500 0.000
Mg3 Mg 0.000 0.500 0.500
Mg4 Mg 0.500 0.000 0.229
Mg5 Mg 0.500 0.249 0.000
Mg6 Mg 0.500 0.264 0.500
Mg7 Mg 0.500 0.500 0.246
Bi1 Bi 0.000 0.000 0.500
O1 O 0.000 0.000 0.243
O2 O 0.000 0.267 0.000
O3 O 0.000 0.268 0.500
O4 O 0.000 0.500 0.251
O5 O 0.500 0.000 0.000
O6 O 0.500 0.000 0.500
O7 O 0.500 0.250 0.251
O8 O 0.500 0.500 0.000
O9 O 0.500 0.500 0.500
```

***

[5]
The following is a PBE calculation of a relaxed Na3MgBiO4 crystal, from Materials Project.

Values from the calculation:
* ΔH_f (0 K): -1.815 eV per atom
* relative energy among the computed polymorphs: 0.00 eV per formula unit
* ρ: 4.730 g cm⁻³
* spin magnetization: 0.0 μB per formula unit

CIF file:
```
data_Na3MgBiO4
_cell_length_a 3.348
_cell_length_b 6.556
_cell_length_c 11.717
_cell_angle_alpha 90.00
_cell_angle_beta 90.00
_cell_angle_gamma 90.00
_space_group_name_H-M_alt 'A m m 2'
_space_group_IT_number 38
_space_group_name_Hall 'A 2 -2'
loop_
_atom_site_label
_atom_site_type_symbol
_atom_site_fract_x
_atom_site_fract_y
_atom_site_fract_z
Na1 Na 0.000 0.000 0.000
Na2 Na 0.500 0.246 0.360
Mg1 Mg 0.500 0.000 0.182
Bi1 Bi 0.000 0.000 0.623
O1 O 0.000 0.000 0.275
O2 O 0.000 0.000 0.807
O3 O 0.500 0.239 0.073
```

***

[6]
The following is a PBE calculation of a relaxed Na2MgBi2O6 crystal, from Materials Project.

Values from the calculation:
* ΔH_f (0 K): -1.792 eV per atom
* relative energy among the computed polymorphs: 0.33 eV per formula unit
* ρ: 6.510 g cm⁻³
* spin magnetization: 0.0 μB per formula unit

CIF file:
```
data_Na2MgBi2O6
_cell_length_a 5.7314
_cell_length_b 5.7314
_cell_length_c 15.7166
_cell_angle_alpha 90.00
_cell_angle_beta 90.00
_cell_angle_gamma 120.00
_space_group_name_H-M_alt 'R 3'
_space_group_IT_number 146
_space_group_name_Hall 'R 3'
loop_
_atom_site_label
_atom_site_type_symbol
_atom_site_fract_x
_atom_site_fract_y
_atom_site_fract_z
Na1 Na 0.0000 0.0000 0.0000
Na2 Na 0.0000 0.0000 0.1482
Mg1 Mg 0.0000 0.0000 0.8234
Bi1 Bi 0.0000 0.0000 0.3339
Bi2 Bi 0.0000 0.0000 0.6181
O1 O 0.0675 0.3616 0.3982
O2 O 0.0703 0.7308 0.9116
```

***

Which value of ρ does entry 2 give? 5.988 g cm⁻³